This record from the Materials Project database describes a relaxed Hg crystal. The functional is r2SCAN.

Properties
As for the magnetic moment: 0.0000 μB per atom. The formation energy comes out at 0.010 eV per atom. The value obtained for the relative energy among the computed polymorphs is 10.1 meV per atom. For the energy, the calculation gives -49.358 eV per atom.

abc: 6.3896 6.3896 3.3892
angles: 90.00 90.00 128.83
Positions (direct):
Hg1 0.1308 0.8692 0.9992
Hg2 0.3692 0.6308 0.4992
Hg3 0.6308 0.3692 0.5008
Hg4 0.8692 0.1308 0.0008